# Fe5O3F7 | the Materials Project database | PBE with a Hubbard U | optimized geometry
data_Fe5O3F7
_cell_length_a 15.844
_cell_length_b 4.777
_cell_length_c 4.793
_cell_angle_alpha 90.00
_cell_angle_beta 90.00
_cell_angle_gamma 90.00
_symmetry_space_group_name_H-M 'P m n 21'
_symmetry_Int_Tables_number 31
loop_
_symmetry_equiv_pos_as_xyz
'x,y,z'
'-x+1/2,-y,z+1/2'
'-x,y,z'
'x+1/2,-y,z+1/2'
loop_
_atom_site_label
_atom_site_type_symbol
_atom_site_fract_x
_atom_site_fract_y
_atom_site_fract_z
Fe1 Fe 0.000 0.243 0.000
Fe2 Fe 0.095 0.771 0.461
Fe3 Fe 0.208 0.216 0.006
O1 O 0.000 0.952 0.291
O2 O 0.200 0.944 0.299
F1 F 0.000 0.549 0.693
F2 F 0.108 0.053 0.794
F3 F 0.109 0.445 0.183
F4 F 0.202 0.548 0.698
# - energy of formation (eV per atom) = -2.2050
# - energy relative to the lowest polymorph listed for this composition (meV/atom) = 25
# - total DFT energy (no corrections) (eV per atom) = -5.806



# Fe2OF3 | the Materials Project database | PBE with a Hubbard U | optimized geometry
data_Fe2OF3
_cell_length_a 6.253
_cell_length_b 13.449
_cell_length_c 6.957
_cell_angle_alpha 90.00
_cell_angle_beta 90.00
_cell_angle_gamma 90.00
_symmetry_space_group_name_H-M 'C m m m'
_symmetry_Int_Tables_number 65
_symmetry_space_group_name_Hall '-C 2 2'
loop_
_atom_site_label
_atom_site_type_symbol
_atom_site_fract_x
_atom_site_fract_y
_atom_site_fract_z
Fe1 Fe 0.000 0.000 0.000
Fe2 Fe 0.000 0.246 0.500
Fe3 Fe 0.000 0.500 0.000
Fe4 Fe 0.227 0.000 0.500
Fe5 Fe 0.250 0.250 0.000
O1 O 0.000 0.096 0.500
O2 O 0.000 0.340 0.000
F1 F 0.000 0.149 0.000
F2 F 0.000 0.406 0.500
F3 F 0.249 0.000 0.209
F4 F 0.250 0.250 0.292
# - energy of formation (eV per atom) = -2.2666
# - energy relative to the lowest polymorph listed for this composition (meV/atom) = 55
# - total DFT energy (no corrections) (eV per atom) = -5.774



no.,total energy after the MP2020 corrections (eV per formula unit)
1,-103.67
2,-41.23